Record 1
A geometry-optimized Lu5In4Pt2 structure. Source: the Materials Project database, functional PBE-GGA.

Values from the calculation:
Volume in Å³/atom: 23.5
Theoretical density in kg/m3: 11095
Crystal system: orthorhombic
Space-group type: Pbam, No. 55
Total energy in eV/atom: -4.97

Cell lengths 3.5417, 8.0829, 18.0290 Å; angles 90.00, 90.00, 90.00 degrees
Fractional positions:
Lu 0.0000 0.1169 0.4146
Lu 0.0000 0.8831 0.5854
Lu 0.0000 0.3831 0.9146
Lu 0.0000 0.6169 0.0854
Lu 0.0000 0.2438 0.2208
Lu 0.0000 0.7562 0.7792
Lu 0.0000 0.2562 0.7208
Lu 0.0000 0.7438 0.2792
Lu 0.0000 0.0000 0.0000
Lu 0.0000 0.5000 0.5000
In 0.5000 0.4242 0.3522
In 0.5000 0.5758 0.6478
In 0.5000 0.0758 0.8522
In 0.5000 0.9242 0.1478
In 0.5000 0.2917 0.0658
In 0.5000 0.7083 0.9342
In 0.5000 0.2083 0.5658
In 0.5000 0.7917 0.4342
Pt 0.5000 0.0262 0.3034
Pt 0.5000 0.9738 0.6966
Pt 0.5000 0.4738 0.8034
Pt 0.5000 0.5262 0.1966



Record 2
A geometry-optimized LuInRh structure. Source: the Materials Project database, functional PBE-GGA.

Values from the calculation:
Volume in Å³/atom: 20.8
Theoretical density in kg/m3: 10465
Crystal system: orthorhombic
Space-group type: Pnma, No. 62
Total energy in eV/atom: -5.63

Cell lengths 4.2146, 6.9250, 8.5395 Å; angles 90.00, 90.00, 90.00 degrees
Fractional positions:
Lu 0.2500 0.0378 0.1756
Lu 0.7500 0.9622 0.8244
Lu 0.2500 0.5378 0.3244
Lu 0.7500 0.4622 0.6756
In 0.7500 0.3561 0.0592
In 0.2500 0.6439 0.9408
In 0.7500 0.8561 0.4408
In 0.2500 0.1439 0.5592
Rh 0.2500 0.7419 0.6319
Rh 0.7500 0.2581 0.3681
Rh 0.2500 0.2419 0.8681
Rh 0.7500 0.7581 0.1319



Record 3
A geometry-optimized TbLuIn2 structure. Source: the Materials Project database, functional PBE-GGA.

Values from the calculation:
Volume in Å³/atom: 26.1
Theoretical density in kg/m3: 8972
Crystal system: cubic
Space-group type: Fm-3m, No. 225
Total energy in eV/atom: -4.09

Cell lengths 5.2835, 5.2835, 5.2835 Å; angles 60.00, 60.00, 60.00 degrees
Fractional positions:
Tb 0.0000 0.0000 0.0000
Lu 0.5000 0.5000 0.5000
In 0.2500 0.2500 0.2500
In 0.7500 0.7500 0.7500



Record 4
A geometry-optimized Lu2TlIn structure. Source: the Materials Project database, functional PBE-GGA.

Values from the calculation:
Volume in Å³/atom: 25.8
Theoretical density in kg/m3: 10754
Crystal system: cubic
Space-group type: Fm-3m, No. 225
Total energy in eV/atom: -3.86

Cell lengths 5.2671, 5.2671, 5.2671 Å; angles 60.00, 60.00, 60.00 degrees
Fractional positions:
Lu 0.2500 0.2500 0.2500
Lu 0.7500 0.7500 0.7500
Tl 0.0000 0.0000 0.0000
In 0.5000 0.5000 0.5000



Record 5
A geometry-optimized TmLuIn2 structure. Source: the Materials Project database, functional PBE-GGA.

Values from the calculation:
Volume in Å³/atom: 25.6
Theoretical density in kg/m3: 9286
Crystal system: cubic
Space-group type: Fm-3m, No. 225
Total energy in eV/atom: -4.03

Cell lengths 5.2540, 5.2540, 5.2540 Å; angles 60.00, 60.00, 60.00 degrees
Fractional positions:
Tm 0.0000 0.0000 0.0000
Lu 0.5000 0.5000 0.5000
In 0.2500 0.2500 0.2500
In 0.7500 0.7500 0.7500



Record 6
A geometry-optimized YLuIn2 structure. Source: the Materials Project database, functional PBE-GGA.

Values from the calculation:
Volume in Å³/atom: 26.2
Theoretical density in kg/m3: 7827
Crystal system: cubic
Space-group type: Fm-3m, No. 225
Total energy in eV/atom: -4.56

Cell lengths 5.2903, 5.2903, 5.2903 Å; angles 60.00, 60.00, 60.00 degrees
Fractional positions:
Y 0.0000 0.0000 0.0000
Lu 0.5000 0.5000 0.5000
In 0.2500 0.2500 0.2500
In 0.7500 0.7500 0.7500



Record 7
A geometry-optimized MgIn2 structure. Source: the Materials Project database, functional PBE-GGA.

Values from the calculation:
Volume in Å³/atom: 25.4
Theoretical density in kg/m3: 5528
Crystal system: orthorhombic
Space-group type: Cmcm, No. 63
Total energy in eV/atom: -2.36

Cell lengths 8.5913, 8.5913, 5.5913 Å; angles 90.00, 90.00, 158.30 degrees
Fractional positions:
Mg 0.6101 0.3899 0.2500
Mg 0.3899 0.6101 0.7500
In 0.2759 0.7241 0.2500
In 0.9459 0.0541 0.2500
In 0.7241 0.2759 0.7500
In 0.0541 0.9459 0.7500



Record 8
A geometry-optimized MgIn2 structure. Source: the Materials Project database, functional PBE-GGA.

Values from the calculation:
Volume in Å³/atom: 25.6
Theoretical density in kg/m3: 5498
Crystal system: orthorhombic
Space-group type: Cmcm, No. 63
Total energy in eV/atom: -2.37

Cell lengths 5.9337, 5.9337, 5.0226 Å; angles 90.00, 90.00, 119.84 degrees
Fractional positions:
Mg 0.3306 0.3306 0.2500
Mg 0.6694 0.6694 0.7500
In 0.0189 0.3427 0.7500
In 0.6573 0.9811 0.2500
In 0.3427 0.0189 0.7500
In 0.9811 0.6573 0.2500



Record 9
A geometry-optimized MgIn2 structure. Source: the Materials Project database, functional PBE-GGA.

Values from the calculation:
Volume in Å³/atom: 25.4
Theoretical density in kg/m3: 5526
Crystal system: monoclinic
Space-group type: Cm, No. 8
Total energy in eV/atom: -2.37

Cell lengths 6.0245, 6.0245, 7.9352 Å; angles 74.10, 74.10, 33.58 degrees
Fractional positions:
Mg 0.9398 0.9398 0.6143
Mg 0.6161 0.6161 0.2746
In 0.0018 0.0018 0.0049
In 0.2809 0.2809 0.9400
In 0.6580 0.6580 0.6599
In 0.3368 0.3368 0.3396



Record 10
A geometry-optimized MgIn3 structure. Source: the Materials Project database, functional PBE-GGA.

Values from the calculation:
Volume in Å³/atom: 25.7
Theoretical density in kg/m3: 5953
Crystal system: hexagonal
Space-group type: P6_3/mmc, No. 194
Total energy in eV/atom: -2.47

Cell lengths 6.5068, 6.5068, 5.6106 Å; angles 90.00, 90.00, 120.00 degrees
Fractional positions:
Mg 0.6667 0.3333 0.2500
Mg 0.3333 0.6667 0.7500
In 0.1670 0.3341 0.2500
In 0.1670 0.8330 0.2500
In 0.6659 0.8330 0.2500
In 0.3341 0.1670 0.7500
In 0.8330 0.1670 0.7500
In 0.8330 0.6659 0.7500



Record 11
A geometry-optimized MgIn5 structure. Source: the Materials Project database, functional PBE-GGA.

Values from the calculation:
Volume in Å³/atom: 26.6
Theoretical density in kg/m3: 6232
Crystal system: hexagonal
Space-group type: P-62m, No. 189
Total energy in eV/atom: -2.53

Cell lengths 6.0217, 6.0217, 5.0772 Å; angles 90.00, 90.00, 120.00 degrees
Fractional positions:
Mg 0.0000 0.0000 0.5000
In 0.3333 0.6667 0.5000
In 0.0000 0.6724 0.0000
In 0.6724 0.0000 0.0000
In 0.3276 0.3276 0.0000
In 0.6667 0.3333 0.5000



Record 12
A geometry-optimized MgIn2 structure. Source: the Materials Project database, functional PBE-GGA.

Values from the calculation:
Volume in Å³/atom: 25.5
Theoretical density in kg/m3: 5514
Crystal system: monoclinic
Space-group type: C2/m, No. 12
Total energy in eV/atom: -2.39

Cell lengths 6.5749, 6.5749, 7.6615 Å; angles 74.91, 74.91, 28.65 degrees
Fractional positions:
Mg 0.3603 0.3603 0.0275
Mg 0.6397 0.6397 0.9725
In 0.0272 0.0272 0.7068
In 0.3049 0.3049 0.6471
In 0.6951 0.6951 0.3529
In 0.9728 0.9728 0.2932